#a
{"formula": "KMg6Ga", "functional": "GGA-PBE", "state": "relaxed", "lattice": [[-0.7387, -0.3026, 5.1457], [-4.3915, -4.9888, -0.9238], [8.6075, -7.7218, 0.7816]], "species": ["Ga", "Ga", "Mg", "Mg", "Mg", "Mg", "Mg", "Mg", "Mg", "Mg", "Mg", "Mg", "Mg", "Mg", "K", "K"], "fractional_positions": [[0.0000, 0.5000, 0.8476], [0.0000, 0.0000, 0.3476], [0.5000, 0.2288, 0.4160], [0.0000, 0.2451, 0.5824], [0.0000, 0.2549, 0.0824], [0.5000, 0.7288, 0.9160], [0.5000, 0.0000, 0.6539], [0.5000, 0.7712, 0.4160], [0.0000, 0.7451, 0.0824], [0.5000, 0.5000, 0.6679], [0.5000, 0.5000, 0.1539], [0.0000, 0.7549, 0.5824], [0.5000, 0.2712, 0.9160], [0.5000, 0.0000, 0.1679], [0.0000, 0.0000, 0.8339], [0.0000, 0.5000, 0.3339]]}

#b
{"formula": "KMg6Ga", "functional": "GGA-PBE", "state": "relaxed", "lattice": [[5.1273, 0.0000, 0.0000], [0.0000, 6.8372, 0.0000], [0.0000, 0.0000, 11.7327]], "species": ["Mg", "Mg", "Mg", "Mg", "Mg", "Mg", "Mg", "Mg", "Mg", "Mg", "Mg", "Mg", "K", "K", "Ga", "Ga"], "fractional_positions": [[0.5000, 0.7267, 0.0729], [0.0000, 0.7389, 0.9178], [0.0000, 0.7611, 0.4178], [0.5000, 0.0000, 0.8332], [0.5000, 0.5000, 0.3332], [0.0000, 0.0000, 0.6637], [0.5000, 0.2733, 0.0729], [0.0000, 0.2611, 0.9178], [0.0000, 0.2389, 0.4178], [0.5000, 0.7733, 0.5729], [0.0000, 0.5000, 0.1637], [0.5000, 0.2267, 0.5729], [0.0000, 0.0000, 0.1706], [0.0000, 0.5000, 0.6706], [0.5000, 0.0000, 0.3511], [0.5000, 0.5000, 0.8511]]}

Taking the most stable structure as the zero point, the relative energies in kJ/mol of atoms are #a 0.6; #b 0.0.

#a
{"formula": "KMg6GaO8", "functional": "GGA-PBE", "state": "relaxed", "lattice": [[4.4390, 0.0000, 0.0000], [0.0000, 4.4390, 0.0000], [0.0000, 0.0000, 8.6852]], "species": ["K", "Mg", "Mg", "Mg", "Mg", "Mg", "Mg", "Ga", "O", "O", "O", "O", "O", "O", "O", "O"], "fractional_positions": [[0.0000, 0.0000, 0.0000], [0.0000, 0.0000, 0.5000], [0.0000, 0.5000, 0.2524], [0.0000, 0.5000, 0.7476], [0.5000, 0.0000, 0.2524], [0.5000, 0.0000, 0.7476], [0.5000, 0.5000, 0.5000], [0.5000, 0.5000, 0.0000], [0.0000, 0.0000, 0.2761], [0.0000, 0.0000, 0.7239], [0.0000, 0.5000, 0.0000], [0.0000, 0.5000, 0.5000], [0.5000, 0.0000, 0.0000], [0.5000, 0.0000, 0.5000], [0.5000, 0.5000, 0.2353], [0.5000, 0.5000, 0.7647]], "sg": "P4/mmm, No. 123"}

#b
{"formula": "KMg6GaO8", "functional": "GGA-PBE", "state": "relaxed", "lattice": [[4.5108, 0.0000, 0.0000], [0.0000, 4.5108, 0.0000], [0.0000, 0.0000, 8.4882]], "species": ["K", "Mg", "Mg", "Mg", "Mg", "Mg", "Mg", "Ga", "O", "O", "O", "O", "O", "O", "O", "O"], "fractional_positions": [[0.0000, 0.0000, 0.0000], [0.0000, 0.5000, 0.2448], [0.0000, 0.5000, 0.7552], [0.5000, 0.0000, 0.2448], [0.5000, 0.0000, 0.7552], [0.5000, 0.5000, 0.0000], [0.5000, 0.5000, 0.5000], [0.0000, 0.0000, 0.5000], [0.0000, 0.0000, 0.2849], [0.0000, 0.0000, 0.7151], [0.0000, 0.5000, 0.0000], [0.0000, 0.5000, 0.5000], [0.5000, 0.0000, 0.0000], [0.5000, 0.0000, 0.5000], [0.5000, 0.5000, 0.2532], [0.5000, 0.5000, 0.7468]], "sg": "P4/mmm, No. 123"}

Taking the most stable structure as the zero point, the relative energies in kJ/mol of atoms are #a 4.6; #b 0.0.

#a
{"formula": "SrLa9MgGa9O29", "functional": "GGA-PBE", "state": "relaxed", "lattice": [[5.5574, 0.0000, 0.0000], [-2.7778, 4.8438, 0.0000], [-0.0696, -3.0853, 22.8400]], "species": ["Sr", "La", "La", "La", "La", "La", "La", "La", "La", "La", "Mg", "Ga", "Ga", "Ga", "Ga", "Ga", "Ga", "Ga", "Ga", "Ga", "O", "O", "O", "O", "O", "O", "O", "O", "O", "O", "O", "O", "O", "O", "O", "O", "O", "O", "O", "O", "O", "O", "O", "O", "O", "O", "O", "O", "O"], "fractional_positions": [[0.0000, 0.0000, 0.0000], [0.0964, 0.2001, 0.3063], [0.1907, 0.3860, 0.6025], [0.3245, 0.6135, 0.8981], [0.3822, 0.7838, 0.2051], [0.4978, 0.0017, 0.5066], [0.5971, 0.1938, 0.8055], [0.6996, 0.3965, 0.1086], [0.7901, 0.5864, 0.4033], [0.8991, 0.8032, 0.7071], [0.6085, 0.2723, 0.9513], [0.0469, 0.0976, 0.1531], [0.1442, 0.2939, 0.4544], [0.2421, 0.4930, 0.7522], [0.3840, 0.7161, 0.0592], [0.4438, 0.8944, 0.3549], [0.5451, 0.0951, 0.6546], [0.7450, 0.4949, 0.2550], [0.8441, 0.6943, 0.5547], [0.9477, 0.8961, 0.8555], [0.0664, 0.6389, 0.3139], [0.1138, 0.7410, 0.7919], [0.1296, 0.2585, 0.8177], [0.1428, 0.3466, 0.0879], [0.1497, 0.8326, 0.1078], [0.2230, 0.9501, 0.5946], [0.2734, 0.0185, 0.9043], [0.3224, 0.1504, 0.3947], [0.3287, 0.6605, 0.4205], [0.3640, 0.7263, 0.6867], [0.3699, 0.2409, 0.7129], [0.4215, 0.3420, 0.1938], [0.4666, 0.4383, 0.5130], [0.4886, 0.5418, 0.9950], [0.5203, 0.0584, 0.0230], [0.5594, 0.1286, 0.2880], [0.5632, 0.6389, 0.3118], [0.6132, 0.7460, 0.7985], [0.6652, 0.8422, 0.1201], [0.7214, 0.9501, 0.5941], [0.7294, 0.4624, 0.6206], [0.7755, 0.5407, 0.8912], [0.7897, 0.0634, 0.9123], [0.8226, 0.1488, 0.3943], [0.8649, 0.2332, 0.7124], [0.9254, 0.3503, 0.1971], [0.9371, 0.8594, 0.2209], [0.9611, 0.9275, 0.4871], [0.9656, 0.4392, 0.5126]], "sg": "P1, No. 1"}

#b
{"formula": "SrLa9MgGa9O29", "functional": "GGA-PBE", "state": "relaxed", "lattice": [[5.5574, 0.0000, 0.0000], [-2.7778, 4.8438, 0.0000], [-0.0696, -3.0853, 22.8400]], "species": ["Sr", "La", "La", "La", "La", "La", "La", "La", "La", "La", "Mg", "Ga", "Ga", "Ga", "Ga", "Ga", "Ga", "Ga", "Ga", "Ga", "O", "O", "O", "O", "O", "O", "O", "O", "O", "O", "O", "O", "O", "O", "O", "O", "O", "O", "O", "O", "O", "O", "O", "O", "O", "O", "O", "O", "O"], "fractional_positions": [[0.0000, 0.0000, 0.0000], [0.4824, 0.1793, 0.1086], [0.4839, 0.5875, 0.3063], [0.4845, 0.9884, 0.5066], [0.4848, 0.3890, 0.7071], [0.5284, 0.8174, 0.8981], [0.9720, 0.3735, 0.2051], [0.9835, 0.7798, 0.4033], [0.9857, 0.1810, 0.6025], [0.9860, 0.5828, 0.8055], [0.7060, 0.3697, 0.9513], [0.2354, 0.3851, 0.4544], [0.2350, 0.9849, 0.2550], [0.2360, 0.7860, 0.6546], [0.2367, 0.1851, 0.8555], [0.2655, 0.5977, 0.0592], [0.7340, 0.1846, 0.3549], [0.7347, 0.5849, 0.5547], [0.7377, 0.9885, 0.7522], [0.7407, 0.7914, 0.1531], [0.0162, 0.1491, 0.7985], [0.0340, 0.3602, 0.3943], [0.0338, 0.7609, 0.5946], [0.0338, 0.9543, 0.1938], [0.4251, 0.6021, 0.1201], [0.4386, 0.0112, 0.3139], [0.4402, 0.8084, 0.7124], [0.4407, 0.4124, 0.5130], [0.4647, 0.2098, 0.9043], [0.4743, 0.0124, 0.0230], [0.4882, 0.2211, 0.6206], [0.4878, 0.8196, 0.4205], [0.4942, 0.6232, 0.8177], [0.4954, 0.4176, 0.2209], [0.4986, 0.5518, 0.9950], [0.5300, 0.1572, 0.7919], [0.5311, 0.9560, 0.1971], [0.5329, 0.3609, 0.3947], [0.5333, 0.7620, 0.5941], [0.9340, 0.6169, 0.1078], [0.9396, 0.0152, 0.3118], [0.9405, 0.4141, 0.5126], [0.9441, 0.8152, 0.7129], [0.9650, 0.2387, 0.9123], [0.9671, 0.1708, 0.0879], [0.9835, 0.5526, 0.2880], [0.9868, 0.9532, 0.4871], [0.9905, 0.3529, 0.6867], [0.9930, 0.7582, 0.8912]], "sg": "P1, No. 1"}

Taking the most stable structure as the zero point, the relative energies in kJ/mol of atoms are #a 0.0; #b 72.8.